This record from Materials Project describes a relaxed CdSeO3 crystal. The functional is r2SCAN.

a = 12.934 Å, b = 5.760 Å, c = 8.662 Å
α = 78.55°, β = 90.00°, γ = 90.00°
Element x y z (fractional)
Cd  0.755  0.622  0.851
Cd  0.577  0.184  0.111
Cd  0.255  0.378  0.649
Cd  0.077  0.816  0.389
Cd  0.245  0.378  0.149
Cd  0.923  0.184  0.611
Cd  0.745  0.622  0.351
Cd  0.423  0.816  0.889
Se  0.975  0.417  0.232
Se  0.332  0.972  0.481
Se  0.525  0.417  0.732
Se  0.832  0.028  0.019
Se  0.168  0.972  0.981
Se  0.475  0.583  0.268
Se  0.025  0.583  0.768
Se  0.668  0.028  0.519
O  0.350  0.032  0.664
O  0.237  0.759  0.505
O  0.981  0.159  0.367
O  0.850  0.968  0.836
O  0.519  0.159  0.867
O  0.405  0.538  0.725
O  0.019  0.841  0.633
O  0.578  0.598  0.848
O  0.481  0.841  0.133
O  0.762  0.774  0.086
O  0.738  0.774  0.586
O  0.737  0.241  0.995
O  0.763  0.241  0.495
O  0.922  0.598  0.348
O  0.595  0.462  0.275
O  0.095  0.538  0.225
O  0.905  0.462  0.775
O  0.422  0.402  0.152
O  0.238  0.226  0.914
O  0.263  0.759  0.005
O  0.150  0.032  0.164
O  0.650  0.968  0.336
O  0.262  0.226  0.414
O  0.078  0.402  0.652

space-group type	P2_1/c, No. 14
formation energy	-1.12	eV/atom
total magnetization	0.0	μB per formula unit